No. 1
The following is a DFT calculation (PBE) of an optimized crystal structure of CsMg6V.

Structure (POSCAR):
```
CsMg6V
1.0
5.3322 0.0000 0.0000
0.0000 6.7735 0.0000
0.0000 0.0000 11.9168
Mg V Cs
12 2 2
Cartesian
2.6661 0.0000 9.9318
2.6661 4.8768 0.8845
0.0000 4.9687 10.8623
2.6661 5.2835 6.8429
2.6661 1.4900 6.8429
2.6661 1.8968 0.8845
0.0000 5.1916 4.9039
2.6661 3.3868 3.9734
0.0000 3.3868 2.0553
0.0000 1.5819 4.9039
0.0000 0.0000 8.0137
0.0000 1.8048 10.8623
2.6661 0.0000 4.3018
2.6661 3.3868 10.2602
0.0000 3.3868 7.8845
0.0000 0.0000 1.9261
```

Computed properties:
The calculation puts the size of the total moment at 6.58 Bohr magnetons per cell. For the energy of formation from the pure elements, the calculation gives 0.51 eV per atom.

---

No. 2
The following is a DFT calculation (PBE) of an optimized crystal structure of CsMg6V.

Structure (POSCAR):
```
CsMg6V
1.0
3.9163 -5.1919 0.0000
3.9163 5.1919 0.0000
0.0000 0.0000 5.3029
Mg Cs V
6 1 1
Cartesian
1.9861 -1.0883 2.6514
5.8464 -1.0883 2.6514
3.9163 -1.5461 0.0000
6.2315 1.0857 0.0000
3.9163 3.7894 0.0000
1.6011 1.0857 0.0000
3.9163 1.4857 2.6514
3.9163 -3.7239 2.6514
```

Computed properties:
The calculation puts the size of the total moment at 4.11 Bohr magnetons per cell. For the energy of formation from the pure elements, the calculation gives 0.48 eV per atom.

---

No. 3
The following is a DFT calculation (PBE) of an optimized crystal structure of CsYMg6.

Structure (POSCAR):
```
CsYMg6
1.0
-0.2101 -4.1115 3.5840
5.7122 -3.0317 -3.1430
7.2055 6.0013 7.3068
Mg Cs Y
12 2 2
Cartesian
1.1120 -1.0421 3.0262
7.5709 0.4427 5.1081
4.3695 -0.3944 3.9601
1.8635 -0.1396 -0.0509
10.8283 1.0904 6.0420
8.9273 3.5407 4.5851
7.7990 2.6981 7.7088
8.3224 1.3452 2.0310
5.8412 2.6621 3.3962
7.0524 -1.8183 2.4839
5.0945 -1.8544 -1.8287
2.4684 2.0559 2.5031
3.8097 -2.6899 1.2940
4.5563 1.8266 6.5189
6.1040 5.0838 6.1898
5.3573 0.5674 0.9649
```

Computed properties:
The calculation puts the size of the total moment at 0.00 Bohr magnetons per cell. For the energy of formation from the pure elements, the calculation gives 0.28 eV per atom.

---

No. 4
The following is a DFT calculation (PBE) of an optimized crystal structure of CsYMg6.

Structure (POSCAR):
```
CsYMg6
1.0
5.4325 0.0000 0.0000
0.0000 7.3530 0.0000
0.0000 0.0000 11.9082
Mg Cs Y
12 2 2
Cartesian
2.7162 0.0000 1.6952
0.0000 5.5463 6.9226
2.7162 3.6765 7.6493
2.7162 3.6765 1.9477
2.7162 0.0000 7.9018
0.0000 5.4832 0.9685
0.0000 1.8698 0.9685
2.7162 2.0419 5.1027
0.0000 1.8067 6.9226
2.7162 5.7185 11.0568
2.7162 5.3111 5.1027
2.7162 1.6346 11.0568
0.0000 3.6765 9.9214
0.0000 0.0000 3.9673
0.0000 3.6765 4.0638
0.0000 0.0000 10.0178
```

Computed properties:
The calculation puts the size of the total moment at 0.00 Bohr magnetons per cell. For the energy of formation from the pure elements, the calculation gives 0.29 eV per atom.

---

No. 5
The following is a DFT calculation (PBE) of an optimized crystal structure of CsMg6Zn.

Structure (POSCAR):
```
CsMg6Zn
1.0
2.9764 -9.1961 0.0000
2.9764 9.1961 0.0000
0.0000 0.0000 5.2262
Mg Zn Cs
6 1 1
Cartesian
2.9764 -2.1513 0.0000
1.4504 0.7849 0.0000
1.4791 -1.2155 2.6131
2.9764 7.1919 0.0000
4.4737 -1.2155 2.6131
4.5024 0.7849 0.0000
2.9764 -8.0250 2.6131
2.9764 3.8456 2.6131
```

Computed properties:
The calculation puts the size of the total moment at 0.00 Bohr magnetons per cell. For the energy of formation from the pure elements, the calculation gives 0.18 eV per atom.

---

No. 6
The following is a DFT calculation (PBE) of an optimized crystal structure of CsMg6Zn.

Structure (POSCAR):
```
CsMg6Zn
1.0
4.2800 -6.7445 0.0000
4.2800 6.7445 0.0000
0.0000 0.0000 4.2265
Mg Cs Zn
6 1 1
Cartesian
4.2800 -2.6607 0.0000
6.1385 1.4714 0.0000
2.7933 -0.7300 2.1132
5.7666 -0.7300 2.1132
2.4214 1.4714 0.0000
4.2800 -5.1664 2.1132
4.2800 4.7091 0.0000
4.2800 1.6404 2.1132
```

Computed properties:
The calculation puts the size of the total moment at 0.00 Bohr magnetons per cell. For the energy of formation from the pure elements, the calculation gives 0.26 eV per atom.

---

No. 7
The following is a DFT calculation (PBE) of an optimized crystal structure of Cs2MnSe2.

Structure (POSCAR):
```
Cs2MnSe2
1.0
-3.4207 3.8196 7.2347
3.4207 -3.8196 7.2347
3.4207 3.8196 -7.2347
Cs Se Mn
4 4 2
Cartesian
0.0000 2.5684 2.1328
0.0000 1.2512 9.3675
3.4207 1.2512 5.1020
3.4207 2.5684 -2.1328
0.0000 6.2875 1.3912
0.0000 2.4680 5.8435
3.4207 -2.4680 5.8435
3.4207 1.3516 1.3912
1.7103 0.0000 0.0000
5.1310 0.0000 0.0000
```

Computed properties:
For the energy of formation from the pure elements, the calculation gives -1.12 eV per atom.

---

No. 8
The following is a DFT calculation (PBE) of an optimized crystal structure of CsSmMnSe3.

Structure (POSCAR):
```
CsSmMnSe3
1.0
4.2902 0.0000 0.0000
-2.1451 8.0937 0.0000
0.0000 0.0000 11.3189
Mn Sm Se Cs
2 2 6 2
Cartesian
2.1451 0.6382 2.8297
0.0000 7.4555 8.4892
0.0000 0.0000 5.6595
0.0000 0.0000 0.0000
2.1451 1.9142 4.9642
0.0000 0.8466 8.4892
2.1451 1.9142 0.6953
0.0000 6.1796 10.6237
2.1451 7.2471 2.8297
0.0000 6.1796 6.3547
0.0000 4.2026 2.8297
2.1451 3.8911 8.4892
```

Computed properties:
The calculation puts the size of the total moment at 10.00 Bohr magnetons per cell. For the energy of formation from the pure elements, the calculation gives -1.57 eV per atom.

---

No. 9
The following is a DFT calculation (PBE) of an optimized crystal structure of Cs6MoN4.

Structure (POSCAR):
```
Cs6MoN4
1.0
-7.8646 -3.7888 1.8857
3.5883 -8.0795 -1.2679
2.0027 -0.3203 7.7089
N Cs Mo
8 12 2
Cartesian
-1.5345 -4.6648 5.3769
-2.8234 -6.7430 3.5237
-0.2285 -7.6055 4.9154
2.4004 -1.7498 6.4954
-6.1781 -3.1401 2.5253
4.6826 -6.8886 5.6890
-1.1759 -0.7303 1.3260
0.0391 -5.3640 2.8374
-4.5690 -5.0234 0.9783
0.0937 -2.6792 3.9856
0.2927 -6.8449 -0.3604
-2.4037 -2.1389 6.8270
2.2682 -4.1156 1.1908
-1.2305 -3.4151 0.1778
3.2695 -4.2757 5.0453
-3.0458 -8.4532 0.4400
2.1588 -7.3290 3.2559
-2.3673 -9.5094 4.3412
-3.4050 -1.9787 2.9726
-4.4324 -4.8596 5.0708
-1.1368 -6.0943 4.1634
0.0000 0.0000 0.0000
```

Computed properties:
The calculation puts the size of the total moment at 0.00 Bohr magnetons per cell. For the energy of formation from the pure elements, the calculation gives -0.05 eV per atom.

---

No. 10
The following is a DFT calculation (PBE) of an optimized crystal structure of Cs10Mo6N15.

Structure (POSCAR):
```
Cs10Mo6N15
1.0
10.3508 -6.6615 0.0000
10.3508 6.6615 0.0000
6.0636 0.0000 10.7121
Mo N Cs
12 30 20
Cartesian
12.8646 2.6156 7.9980
13.9007 -2.6156 2.7141
15.1806 0.9831 2.2111
9.8328 4.0460 2.6420
7.8616 -0.9831 7.5671
18.9037 0.9831 3.1449
10.4655 -3.0628 1.0611
13.4973 -3.5987 6.4171
13.2680 3.5987 4.2950
11.5847 -0.9831 8.5010
16.9325 -4.0460 8.0701
16.2998 3.0628 9.6510
13.0988 3.0539 6.1337
15.0875 -3.7390 2.0132
9.5455 -4.4180 2.0808
15.2501 -3.8770 7.1558
8.6459 2.9226 3.3429
12.2226 0.8104 8.1861
17.0422 1.0924 2.6780
19.5416 -0.8104 2.8301
13.6665 -3.0539 4.5784
12.2182 -2.7846 1.7997
19.1205 1.3669 4.8676
14.1880 2.2435 3.2753
11.8015 -1.3669 10.2236
7.2237 0.8104 7.8820
11.6777 3.7390 8.6989
14.2078 5.1059 4.2111
11.5152 3.8770 3.5563
12.5574 -5.1059 6.5009
18.1193 -2.9226 7.3692
14.9638 1.3669 0.4885
12.5773 -2.2435 7.4368
17.2198 4.4180 8.6313
14.5470 2.7846 8.9123
10.0670 3.6076 0.7777
7.6447 -1.3669 5.8445
14.5427 -0.8104 2.5260
9.5256 -1.5557 1.1449
17.2397 1.5557 9.5672
16.6983 -3.6076 9.9344
9.7231 -1.0924 8.0341
10.2595 -2.5470 4.7509
13.3826 0.0000 5.3560
13.2913 -4.1145 10.1069
7.4323 1.1513 0.8267
17.0925 -1.7920 0.6090
16.5058 2.5470 5.9612
5.9504 1.1513 4.5294
11.4127 0.7551 1.8693
14.4445 5.9065 7.2253
20.8149 -1.1513 6.1827
16.9918 -1.7920 4.7470
19.3330 -1.1513 9.8854
13.4740 4.1145 0.6051
0.0000 0.0000 0.0000
20.0740 2.3026 8.0341
15.3526 -0.7551 8.8428
9.7735 1.7920 5.9651
9.6727 1.7920 10.1030
6.6913 -2.3026 2.6780
12.3207 -5.9065 3.4867
```

Computed properties:
For the energy of formation from the pure elements, the calculation gives -0.59 eV per atom.

---

No. 11
The following is a DFT calculation (PBE) of an optimized crystal structure of Cs3Mo2N5.

Structure (POSCAR):
```
Cs3Mo2N5
1.0
10.9547 0.2409 0.5949
-8.9205 10.5259 0.0001
4.0685 3.4480 8.5143
N Cs Mo
20 12 8
Cartesian
0.4214 2.8984 1.1251
1.2229 13.0596 7.0055
0.5871 10.2624 7.9456
6.2994 6.9946 5.5484
-1.3144 11.4304 5.9141
-4.1781 12.2054 6.4722
1.7218 4.9595 2.8080
10.6082 5.3477 5.8415
5.5827 1.7508 3.5745
3.3693 2.5789 1.5309
-3.6669 9.5778 5.0226
1.5377 10.6225 5.0761
12.6771 4.0401 7.6517
-0.5148 6.9506 2.8952
4.1832 9.0877 5.8874
6.0857 1.6560 0.4087
6.2076 8.3282 8.1914
1.7317 7.4430 4.7613
3.3290 9.3227 3.0614
5.8776 4.2592 1.9211
-0.7943 9.9240 3.0906
-1.3410 7.9064 6.5276
7.6347 6.4701 2.9812
2.1061 7.1074 7.8570
7.4480 4.7576 7.1716
-4.7385 9.7661 2.0757
3.9135 10.9369 8.4061
2.1573 10.8710 0.8527
3.9190 7.0414 1.0899
4.1459 4.9361 4.7978
9.3579 3.1916 3.9294
2.1021 1.7815 4.3990
5.2737 2.6073 1.8781
1.9043 3.8329 1.2632
-3.1363 11.4201 5.2918
5.9755 8.5518 6.2979
0.5042 11.3321 6.5515
0.6502 6.1062 3.9056
2.6870 9.1010 4.6832
10.9487 4.2434 7.3948
```

Computed properties:
The calculation puts the size of the total moment at 0.00 Bohr magnetons per cell. For the energy of formation from the pure elements, the calculation gives -0.55 eV per atom.

---

No. 12
The following is a DFT calculation (PBE) of an optimized crystal structure of CsMo3S3.

Structure (POSCAR):
```
CsMo3S3
1.0
6.7647 4.0484 5.3417
-8.1618 -2.8402 4.0003
1.7823 -4.0150 0.7858
S Mo Cs
6 6 2
Cartesian
1.2420 -2.4981 3.4266
-0.8567 -0.3088 6.7013
2.2760 -1.0639 8.4091
-5.4747 -2.5916 5.5117
-1.8907 -1.7430 1.7187
5.8599 -0.2153 4.6161
0.3026 0.6031 8.7309
6.0148 2.3748 4.8269
0.0826 -3.4099 1.3970
-0.0017 -2.0743 8.4125
0.3870 -0.7325 1.7153
-5.6295 -5.1816 5.3010
-1.8495 -3.5553 5.0368
2.2348 0.7485 5.0910
```

Computed properties:
For the energy of formation from the pure elements, the calculation gives -1.03 eV per atom.

---

No. 13
The following is a DFT calculation (PBE) of an optimized crystal structure of CsMo9S9.

Structure (POSCAR):
```
CsMo9S9
1.0
-4.5463 -1.0032 8.2002
-0.3296 -6.8749 -6.4456
10.7111 -5.4553 5.2710
S Mo Cs
18 18 2
Cartesian
1.3108 -3.8992 1.4715
2.9516 -2.9564 4.5552
9.3438 -10.0241 0.5922
4.5244 -9.4343 5.5541
6.4506 -12.1939 4.2258
4.8834 -5.7180 3.2285
0.0584 -5.1262 8.1888
8.4505 -7.5348 4.9839
0.9517 -7.6155 3.7971
5.7767 -8.2073 -1.1632
2.2052 -6.3869 -2.9208
-2.6154 -5.7987 2.0417
2.8835 -10.3771 2.4704
-0.6155 -1.1396 2.7998
6.5234 -4.7751 6.3141
-3.5087 -3.3094 6.4334
-0.6882 -8.5584 0.7115
3.6299 -6.9466 9.9464
7.6283 -9.9513 -1.2885
1.8537 -1.7333 2.6099
0.4193 -9.7758 2.6520
5.6962 -11.4841 6.5022
8.9887 -5.3775 6.1318
-3.1536 -7.9560 0.8938
-1.7932 -3.3822 8.3141
5.4158 -3.5577 4.3736
5.3520 -7.0240 11.8179
4.0560 -8.1293 -3.0341
7.2846 -5.4761 4.0416
1.7791 -5.2042 10.0597
2.1234 -9.6644 4.7439
0.1389 -1.8494 0.5234
-1.4495 -7.8574 2.9840
3.7117 -3.6692 2.2817
3.9814 -11.6002 4.4157
0.4832 -6.3095 -4.7923
6.2981 -9.0092 2.3896
-0.4630 -4.3243 4.6360
```

Computed properties:
The calculation puts the size of the total moment at 0.00 Bohr magnetons per cell. For the energy of formation from the pure elements, the calculation gives -0.89 eV per atom.